Record 1
Compound: VP2PbO8
Source: the Materials Project database
Functional: PBE+U
Structure: optimized geometry

Values from the calculation:
Mass density in g/cm³: 4.67
Formation enthalpy at 0 K in meV per atom: -2521.9
Energy with MP2020 corrections in eV/f.u.: -93.47
Volume in Å³ per atom: 13.3

Cell lengths 7.571, 9.069, 9.274 Å; angles 90.00, 90.00, 90.00 degrees
Fractional positions:
V 0.279 0.749 0.496
V 0.721 0.249 0.004
V 0.779 0.751 0.504
V 0.221 0.251 0.996
P 0.198 0.970 0.776
P 0.802 0.470 0.724
P 0.698 0.530 0.224
P 0.302 0.030 0.276
P 0.302 0.529 0.223
P 0.698 0.029 0.277
P 0.802 0.971 0.777
P 0.198 0.471 0.723
Pb 0.500 0.184 0.596
Pb 0.500 0.684 0.904
Pb 0.000 0.316 0.404
Pb 0.000 0.816 0.096
O 0.000 0.016 0.732
O 0.000 0.516 0.768
O 0.500 0.484 0.268
O 0.500 0.984 0.232
O 0.499 0.747 0.467
O 0.501 0.247 0.033
O 0.999 0.753 0.533
O 0.001 0.253 0.967
O 0.291 0.927 0.635
O 0.709 0.427 0.865
O 0.791 0.573 0.365
O 0.209 0.073 0.135
O 0.212 0.575 0.365
O 0.788 0.075 0.135
O 0.712 0.925 0.635
O 0.288 0.425 0.865
O 0.194 0.848 0.888
O 0.806 0.348 0.612
O 0.694 0.652 0.112
O 0.306 0.152 0.388
O 0.306 0.652 0.111
O 0.694 0.152 0.389
O 0.806 0.848 0.889
O 0.194 0.348 0.611
O 0.286 0.614 0.671
O 0.714 0.114 0.829
O 0.786 0.886 0.329
O 0.214 0.386 0.171
O 0.216 0.886 0.331
O 0.784 0.386 0.169
O 0.716 0.614 0.669
O 0.284 0.114 0.831

=====

Record 2
Compound: TaVO4
Source: the Materials Project database
Functional: PBE+U
Structure: optimized geometry

Values from the calculation:
Mass density in g/cm³: 7.10
Formation enthalpy at 0 K in meV per atom: -3005.7
Energy with MP2020 corrections in eV/f.u.: -58.77
Volume in Å³ per atom: 11.5

Cell lengths 5.651, 5.649, 5.649 Å; angles 73.11, 66.79, 108.37 degrees
Fractional positions:
Ta 0.000 0.000 0.000
Ta 0.500 0.000 0.500
V 0.250 0.500 0.250
V 0.750 0.500 0.750
O 0.750 0.193 0.057
O 0.250 0.193 0.557
O 0.750 0.807 0.443
O 0.250 0.807 0.943
O 0.298 0.298 0.000
O 0.798 0.298 0.500
O 0.702 0.702 0.000
O 0.202 0.702 0.500

=====

Record 3
Compound: Li9Mn2Co5O16
Source: the Materials Project database
Functional: PBE+U
Structure: optimized geometry

Values from the calculation:
Mass density in g/cm³: 4.16
Excess energy over the best structure of this formula in the dataset in meV/atom: 49.4
Formation enthalpy at 0 K in meV per atom: -1814.8
Energy with MP2020 corrections in eV/f.u.: -208.29
Volume in Å³ per atom: 9.0

Cell lengths 2.910, 8.353, 11.880 Å; angles 89.27, 90.00, 90.00 degrees
Fractional positions:
Li 0.500 0.255 0.123
Li 0.500 0.745 0.377
Li 0.500 0.264 0.631
Li 0.000 0.499 0.996
Li 0.000 0.000 0.250
Li 0.000 0.501 0.504
Li 0.500 0.736 0.869
Li 0.000 0.000 0.750
Li 0.000 0.500 0.750
Mn 0.000 0.001 0.998
Mn 0.000 0.999 0.502
Co 0.000 0.500 0.250
Co 0.500 0.275 0.868
Co 0.500 0.744 0.127
Co 0.500 0.256 0.373
Co 0.500 0.725 0.632
O 0.500 0.999 0.110
O 0.500 0.496 0.369
O 0.500 0.003 0.609
O 0.000 0.229 0.992
O 0.000 0.752 0.242
O 0.000 0.235 0.491
O 0.500 0.488 0.879
O 0.000 0.757 0.740
O 0.500 0.504 0.131
O 0.500 0.001 0.390
O 0.500 0.512 0.621
O 0.000 0.765 0.009
O 0.000 0.248 0.258
O 0.000 0.771 0.508
O 0.500 0.997 0.891
O 0.000 0.243 0.760